Record 1
# Li4CoO4, relaxed, DFT PBE+U
data_Li4CoO4
_chemical_formula_sum 'Li16 Co4 O16'
_cell_length_a 6.6049
_cell_length_b 7.4957
_cell_length_c 8.0575
_cell_angle_alpha 89.61
_cell_angle_beta 90.00
_cell_angle_gamma 90.00
_symmetry_space_group_name_H-M 'P 1'
_symmetry_Int_Tables_number 1
_symmetry_space_group_name_Hall 'P 1'
loop_
_atom_site_label
_atom_site_type_symbol
_atom_site_fract_x
_atom_site_fract_y
_atom_site_fract_z
O1 O 0.7356 0.2899 0.5227
O2 O 0.2838 0.7194 0.5138
Li1 Li 0.0000 0.2912 0.8198
Co1 Co 0.0000 0.7599 0.8724
Co2 Co 0.0000 0.2334 0.1271
O3 O 0.5000 0.5557 0.2328
O4 O 0.2195 0.2057 0.9955
O5 O 0.0000 0.0483 0.2832
Li2 Li 0.2537 0.0161 0.8343
O6 O 0.0000 0.4274 0.2508
Li3 Li 0.2502 0.5119 0.6606
Li4 Li 0.2594 0.4687 0.3346
O7 O 0.7805 0.2057 0.9955
Co3 Co 0.5000 0.2631 0.6324
Li5 Li 0.7508 0.9730 0.1513
Li6 Li 0.7351 0.0071 0.4914
Li7 Li 0.2649 0.0071 0.4914
O8 O 0.0000 0.5524 0.7587
O9 O 0.5000 0.0316 0.6989
O10 O 0.5000 0.9567 0.2894
O11 O 0.5000 0.4519 0.7743
Co4 Co 0.5000 0.7374 0.3774
Li8 Li 0.5000 0.7639 0.7033
Li9 Li 0.7463 0.0161 0.8343
Li10 Li 0.2492 0.9730 0.1513
O12 O 0.7162 0.7194 0.5138
Li11 Li 0.0000 0.7491 0.5566
Li12 Li 0.5000 0.3172 0.9907
O13 O 0.2413 0.7984 0.9691
Li13 Li 0.5000 0.6954 0.0346
Li14 Li 0.0000 0.2518 0.4369
Li15 Li 0.7406 0.4687 0.3346
O14 O 0.7587 0.7984 0.9691
O15 O 0.0000 0.9524 0.7143
O16 O 0.2644 0.2899 0.5227
Li16 Li 0.7498 0.5119 0.6606
# Formation energy from the elements   -1.77 eV per atom
# Density   2.5 g/cm³
# Energy above the lowest structure with this stoichiometry   0.0166 eV per atom


Record 2
# LiCo2O4, relaxed, DFT PBE+U
data_LiCo2O4
_chemical_formula_sum 'Li2 Co4 O8'
_cell_length_a 5.8659
_cell_length_b 5.8933
_cell_length_c 5.7376
_cell_angle_alpha 120.02
_cell_angle_beta 59.24
_cell_angle_gamma 120.47
_symmetry_space_group_name_H-M 'P 1'
_symmetry_Int_Tables_number 1
_symmetry_space_group_name_Hall 'P 1'
loop_
_atom_site_label
_atom_site_type_symbol
_atom_site_fract_x
_atom_site_fract_y
_atom_site_fract_z
O1 O 0.7192 0.7130 0.2380
Li1 Li 0.5000 0.0000 0.5000
O2 O 0.2193 0.7135 0.7378
Co1 Co 0.9998 0.5000 0.5002
Li2 Li 0.0000 0.0000 0.0000
O3 O 0.2524 0.7059 0.2393
O4 O 0.7525 0.7056 0.7395
O5 O 0.7476 0.2942 0.7607
Co2 Co 0.0000 0.5000 0.0000
O6 O 0.2475 0.2943 0.2604
O7 O 0.7807 0.2865 0.2621
O8 O 0.2808 0.2870 0.7620
Co3 Co 0.5000 0.5000 0.5000
Co4 Co 0.5002 0.5000 0.9998
# Formation energy from the elements   -1.45 eV per atom
# Density   4.5 g/cm³
# Energy above the lowest structure with this stoichiometry   0.0661 eV per atom


Record 3
# Li8Co5O10, relaxed, DFT PBE+U
data_Li8Co5O10
_chemical_formula_sum 'Li16 Co10 O20'
_cell_length_a 6.6418
_cell_length_b 10.1030
_cell_length_c 8.0619
_cell_angle_alpha 83.15
_cell_angle_beta 100.12
_cell_angle_gamma 76.75
_symmetry_space_group_name_H-M 'P 1'
_symmetry_Int_Tables_number 1
_symmetry_space_group_name_Hall 'P 1'
loop_
_atom_site_label
_atom_site_type_symbol
_atom_site_fract_x
_atom_site_fract_y
_atom_site_fract_z
O1 O 0.0364 0.1327 0.2599
O2 O 0.7810 0.8706 0.1013
Li1 Li 0.9342 0.2263 0.4417
Co1 Co 0.6984 0.0002 0.5999
Co2 Co 0.0013 0.5003 0.0025
O3 O 0.8639 0.3671 0.9400
O4 O 0.6423 0.1315 0.1095
O5 O 0.5430 0.8690 0.5606
Li2 Li 0.3014 0.2197 0.6502
Li3 Li 0.4865 0.2250 0.2692
Li4 Li 0.1214 0.2185 0.0616
Li5 Li 0.5989 0.2804 0.5498
O6 O 0.7564 0.6357 0.8792
Li6 Li 0.6229 0.7233 0.0676
Li7 Li 0.4382 0.7261 0.4409
O7 O 0.2574 0.3687 0.0905
O8 O 0.5433 0.6413 0.2639
Co3 Co 0.4003 0.4993 0.1975
O9 O 0.8546 0.1290 0.6409
Co4 Co 0.2939 0.0044 0.4072
Li8 Li 0.2770 0.7767 0.1325
O10 O 0.1187 0.6295 0.0985
O11 O 0.2408 0.1426 0.8709
Co5 Co 0.4995 0.0009 0.0022
O12 O 0.9401 0.8659 0.7094
O13 O 0.3572 0.6309 0.6396
Co6 Co 0.6063 0.4954 0.7930
O14 O 0.0456 0.3709 0.5591
Li9 Li 0.9822 0.7215 0.2679
O15 O 0.4556 0.1352 0.4879
Li10 Li 0.8029 0.7195 0.6484
Li11 Li 0.7787 0.2813 0.1384
Li12 Li 0.4619 0.7737 0.7592
Li13 Li 0.4131 0.2752 0.9309
Co7 Co 0.2018 0.4999 0.6003
Co8 Co 0.1092 0.9945 0.7943
O16 O 0.9600 0.6341 0.4905
Li14 Li 0.9661 0.2737 0.7583
O17 O 0.6592 0.3575 0.3290
O18 O 0.1434 0.8643 0.3207
Co9 Co 0.7911 0.5054 0.4058
O19 O 0.4445 0.3649 0.7123
Li15 Li 0.9169 0.7788 0.9318
Li16 Li 0.0974 0.7804 0.5515
O20 O 0.3567 0.8586 0.9363
Co10 Co 0.8985 0.9997 0.1974
# Formation energy from the elements   -1.71 eV per atom
# Density   3.3 g/cm³
# Energy above the lowest structure with this stoichiometry   0.0007 eV per atom


Record 4
# Li2Co3O6, relaxed, DFT PBE+U
data_Li2Co3O6
_chemical_formula_sum 'Li4 Co6 O12'
_cell_length_a 4.8769
_cell_length_b 4.8769
_cell_length_c 10.1238
_cell_angle_alpha 75.92
_cell_angle_beta 75.92
_cell_angle_gamma 60.01
_symmetry_space_group_name_H-M 'P 1'
_symmetry_Int_Tables_number 1
_symmetry_space_group_name_Hall 'P 1'
loop_
_atom_site_label
_atom_site_type_symbol
_atom_site_fract_x
_atom_site_fract_y
_atom_site_fract_z
Co1 Co 0.5006 0.3310 0.5020
O1 O 0.8686 0.0394 0.3952
O2 O 0.2063 0.3633 0.3965
O3 O 0.5298 0.7014 0.3969
Co2 Co 0.8355 0.6703 0.4936
Co3 Co 0.3310 0.5006 0.0020
Li1 Li 0.5868 0.4193 0.2435
Li2 Li 0.2530 0.0841 0.2434
O4 O 0.4683 0.9565 0.6028
O5 O 0.3633 0.2063 0.8965
Co4 Co 0.9989 0.1648 0.0020
O6 O 0.6259 0.1293 0.1029
Co5 Co 0.6703 0.8355 0.9936
O7 O 0.0394 0.8686 0.8952
O8 O 0.7014 0.5298 0.8969
Li3 Li 0.0841 0.2530 0.7434
O9 O 0.3138 0.7989 0.1027
O10 O 0.7989 0.3138 0.6027
O11 O 0.9565 0.4683 0.1028
Li4 Li 0.4193 0.5868 0.7435
Co6 Co 0.1648 0.9989 0.5020
O12 O 0.1293 0.6259 0.6029
# Formation energy from the elements   -1.58 eV per atom
# Density   4.8 g/cm³
# Energy above the lowest structure with this stoichiometry   0.0000 eV per atom


Q: Look up the density of the third one.
A: 3.3 g/cm³


Q: What is the energy above the lowest structure with this stoichiometry in the second record?
A: 0.0661 eV per atom


Q: Number 3 is which compound?
A: Li8Co5O10